## BaNdMnCoO5 (PBE with a Hubbard U)

Data for crystalline BaNdMnCoO5 at its relaxed geometry.

## Properties
Corrected total energy (MP2020 scheme), eV per atom: -7.857
Crystal system: tetragonal
Total DFT energy (no corrections), eV for the cell shown: -64.0
Calculated density, Mg/m³: 6.3
V, Å³ per atom: 13.88
Calculated formation energy, meV/atom: -2557

Lattice parameters (Å, degrees): 3.980 3.980 7.888 90.00 90.00 90.00
Fractional coordinates of all 9 atoms:
Ba1 0.000 0.000 0.000
Nd1 0.000 0.000 0.516
Mn1 0.500 0.500 0.267
Co1 0.500 0.500 0.748
O1 0.000 0.500 0.320
O2 0.000 0.500 0.702
O3 0.500 0.000 0.320
O4 0.500 0.000 0.702
O5 0.500 0.500 0.012